[1]
Below is Na4ThW4O16 after structural relaxation, with properties calculated at the PBE+U level.

```
data_Na4ThW4O16
_space_group_name_H-M_alt 'I 41/a'
_space_group_IT_number 88
_cell_length_a 11.6767
_cell_length_b 11.6767
_cell_length_c 12.0413
_cell_angle_alpha 90.00
_cell_angle_beta 90.00
_cell_angle_gamma 90.00
loop_
_space_group_symop_operation_xyz
'x,y,z'
'-x,-y,-z'
'-y+3/4,x+1/4,z+1/4'
'y+3/4,-x+1/4,-z+1/4'
'-x+1/2,-y,z+1/2'
'x+1/2,y,-z+1/2'
'y+3/4,-x+3/4,z+3/4'
'-y+3/4,x+3/4,-z+3/4'
'x+1/2,y+1/2,z+1/2'
'-x+1/2,-y+1/2,-z+1/2'
'-y+1/4,x+3/4,z+3/4'
'y+1/4,-x+3/4,-z+3/4'
'-x,-y+1/2,z'
'x,y+1/2,-z'
'y+1/4,-x+1/4,z+1/4'
'-y+1/4,x+1/4,-z+1/4'
loop_
_atom_site_label
_atom_site_type_symbol
_atom_site_fract_x
_atom_site_fract_y
_atom_site_fract_z
Na1 Na 0.1185 0.0294 0.3449
Th1 Th 0.0000 0.2500 0.1250
W1 W 0.0912 0.0686 0.8697
O1 O 0.0407 0.4080 0.7984
O2 O 0.0599 0.3628 0.2840
O3 O 0.0862 0.4264 0.0598
O4 O 0.1786 0.4568 0.4784
```

raw total energy	-7.063	eV per atom

[2]
Below is NaUVO6 after structural relaxation, with properties calculated at the PBE+U level.

```
data_NaUVO6
_space_group_name_H-M_alt 'P 1 21/c 1'
_space_group_IT_number 14
_space_group_name_Hall '-P 2ybc'
_cell_length_a 6.2704
_cell_length_b 8.4090
_cell_length_c 10.4864
_cell_angle_alpha 90.00
_cell_angle_beta 99.05
_cell_angle_gamma 90.00
loop_
_atom_site_label
_atom_site_type_symbol
_atom_site_fract_x
_atom_site_fract_y
_atom_site_fract_z
Na1 Na 0.0344 0.2075 0.3233
U1 U 0.4862 0.0204 0.1823
V1 V 0.3709 0.6485 0.9550
O1 O 0.1197 0.6386 0.9780
O2 O 0.2027 0.0802 0.1449
O3 O 0.2297 0.0398 0.7736
O4 O 0.3806 0.7107 0.7857
O5 O 0.4434 0.0637 0.3961
O6 O 0.4583 0.6516 0.5077
```

raw total energy	-7.992	eV per atom

[3]
Below is Na6U5V2O23 after structural relaxation, with properties calculated at the PBE+U level.

```
data_Na6U5V2O23
_space_group_name_H-M_alt 'P 1 21/c 1'
_space_group_IT_number 14
_space_group_name_Hall '-P 2ybc'
_cell_length_a 12.7993
_cell_length_b 24.5719
_cell_length_c 7.1085
_cell_angle_alpha 90.00
_cell_angle_beta 100.57
_cell_angle_gamma 90.00
loop_
_atom_site_label
_atom_site_type_symbol
_atom_site_fract_x
_atom_site_fract_y
_atom_site_fract_z
Na1 Na 0.0224 0.0384 0.2717
Na2 Na 0.0767 0.1225 0.7851
Na3 Na 0.1140 0.2055 0.2699
Na4 Na 0.3770 0.6906 0.2508
Na5 Na 0.4261 0.6000 0.7419
Na6 Na 0.4755 0.5341 0.2378
U1 U 0.1658 0.6404 0.4623
U2 U 0.1869 0.5734 0.9773
U3 U 0.2372 0.0073 0.0106
U4 U 0.2919 0.0878 0.5123
U5 U 0.3464 0.1475 0.0273
V1 V 0.1088 0.7051 0.9518
V2 V 0.4390 0.2007 0.5496
O1 O 0.0186 0.6341 0.3948
O2 O 0.0211 0.2180 0.5527
O3 O 0.0388 0.5634 0.9300
O4 O 0.0967 0.0321 0.9750
O5 O 0.1244 0.6615 0.7622
O6 O 0.1647 0.1265 0.4750
O7 O 0.1710 0.6611 0.1425
O8 O 0.1761 0.7343 0.4475
O9 O 0.1827 0.5584 0.2906
O10 O 0.1982 0.5680 0.6636
O11 O 0.2047 0.0130 0.4383
O12 O 0.2127 0.1807 0.9709
O13 O 0.2736 0.0760 0.8209
O14 O 0.2899 0.0792 0.1948
O15 O 0.3124 0.6496 0.5112
O16 O 0.3342 0.5835 0.0315
O17 O 0.3532 0.1721 0.3514
O18 O 0.3804 0.5158 0.5493
O19 O 0.3931 0.1604 0.7264
O20 O 0.4252 0.0519 0.5586
O21 O 0.4315 0.2291 0.0760
O22 O 0.4338 0.6857 0.9551
O23 O 0.4806 0.1157 0.0871
```

raw total energy	-7.988	eV per atom

[4]
Below is Na2UW2O10 after structural relaxation, with properties calculated at the PBE+U level.

```
data_Na2UW2O10
_space_group_name_H-M_alt 'P -1'
_space_group_IT_number 2
_space_group_name_Hall '-P 1'
_cell_length_a 6.8253
_cell_length_b 7.6660
_cell_length_c 8.6336
_cell_angle_alpha 89.92
_cell_angle_beta 86.99
_cell_angle_gamma 73.45
loop_
_atom_site_label
_atom_site_type_symbol
_atom_site_fract_x
_atom_site_fract_y
_atom_site_fract_z
Na1 Na 0.0867 0.1063 0.2920
Na2 Na 0.0990 0.5952 0.2993
U1 U 0.4938 0.2508 0.5219
W1 W 0.3402 0.0420 0.8632
W2 W 0.3424 0.5400 0.8623
O1 O 0.0785 0.1249 0.8175
O2 O 0.0825 0.5897 0.8113
O3 O 0.2137 0.3211 0.4954
O4 O 0.2244 0.8213 0.4579
O5 O 0.3312 0.0685 0.0778
O6 O 0.3316 0.5154 0.0765
O7 O 0.3400 0.7911 0.8641
O8 O 0.4076 0.2735 0.8129
O9 O 0.4763 0.9843 0.6476
O10 O 0.4813 0.5270 0.6476
```

raw total energy	-7.526	eV per atom

[5]
Below is Na10U8W5O44 after structural relaxation, with properties calculated at the PBE+U level.

```
data_Na10U8W5O44
_space_group_name_H-M_alt 'C 1 2/c 1'
_space_group_IT_number 15
_space_group_name_Hall '-C 2yc'
_cell_length_a 25.0322
_cell_length_b 23.8733
_cell_length_c 6.8380
_cell_angle_alpha 90.00
_cell_angle_beta 94.70
_cell_angle_gamma 90.00
loop_
_atom_site_label
_atom_site_type_symbol
_atom_site_fract_x
_atom_site_fract_y
_atom_site_fract_z
Na1 Na 0.0000 0.0472 0.2500
Na2 Na 0.0000 0.1062 0.7500
Na3 Na 0.0000 0.3927 0.7500
Na4 Na 0.0000 0.4526 0.2500
Na5 Na 0.2469 0.4580 0.6726
Na6 Na 0.2478 0.2054 0.2941
Na7 Na 0.2502 0.1223 0.8170
U1 U 0.1245 0.1262 0.0951
U2 U 0.1236 0.3743 0.4842
U3 U 0.1268 0.4657 0.9547
U4 U 0.1275 0.0339 0.6264
W1 W 0.0000 0.2464 0.7500
W2 W 0.1307 0.2997 0.9638
W3 W 0.1351 0.2025 0.6222
O1 O 0.0409 0.2915 0.9144
O2 O 0.0447 0.2012 0.6251
O3 O 0.0494 0.3806 0.4756
O4 O 0.0501 0.1220 0.0571
O5 O 0.0513 0.4702 0.9210
O6 O 0.0516 0.0333 0.6093
O7 O 0.1159 0.3722 0.8551
O8 O 0.1184 0.3127 0.2196
O9 O 0.1222 0.1879 0.3596
O10 O 0.1221 0.4394 0.2590
O11 O 0.1243 0.2834 0.6473
O12 O 0.1251 0.0606 0.3201
O13 O 0.1276 0.2178 0.9329
O14 O 0.1286 0.1288 0.7233
O15 O 0.1298 0.0435 0.9495
O16 O 0.1369 0.4566 0.6348
O17 O 0.1994 0.1297 0.1260
O18 O 0.1987 0.3682 0.4997
O19 O 0.2024 0.3047 0.9860
O20 O 0.2022 0.4580 0.9875
O21 O 0.2034 0.0365 0.6462
O22 O 0.2073 0.2063 0.6320
```

raw total energy	-7.892	eV per atom

[6]
Below is NaV2O4 after structural relaxation, with properties calculated at the PBE+U level.

```
data_NaV2O4
_space_group_name_H-M_alt 'C 1 2/c 1'
_space_group_IT_number 15
_space_group_name_Hall '-C 2yc'
_cell_length_a 8.7050
_cell_length_b 8.4556
_cell_length_c 6.1905
_cell_angle_alpha 90.00
_cell_angle_beta 133.19
_cell_angle_gamma 90.00
loop_
_atom_site_label
_atom_site_type_symbol
_atom_site_fract_x
_atom_site_fract_y
_atom_site_fract_z
Na1 Na 0.0000 0.1242 0.2500
V1 V 0.0000 0.5000 0.0000
V2 V 0.2500 0.2500 0.0000
O1 O 0.0002 0.2753 0.5336
O2 O 0.2066 0.4881 0.9491
```

polymorph energy (0 for the lowest one)	28.8	meV per atom
raw total energy	-7.136	eV per atom

Table of formation energy from the elements (meV/atom), in record order: -2465; -2929; -3067; -2620; -2913; -2402